{"formula": "Mn6O5F7", "functional": "PBE with a Hubbard U", "state": "optimized geometry", "de_polymorph_ev_per_atom": 0.034, "corrected_energy_ev_per_atom": -7.58, "total_energy_ev_per_cell": -239.51, "delta_e_f_mev_per_atom": -2407, "lattice_angstrom": [[4.731, 0.000, 0.000], [0.160, 5.760, 0.000], [0.033, 0.005, 15.574]], "species": ["Mn", "Mn", "Mn", "Mn", "Mn", "Mn", "Mn", "Mn", "Mn", "Mn", "Mn", "Mn", "O", "O", "O", "O", "O", "O", "O", "O", "O", "O", "F", "F", "F", "F", "F", "F", "F", "F", "F", "F", "F", "F", "F", "F"], "frac_coords": [[0.000, 0.000, 0.000], [0.000, 0.010, 0.666], [0.000, 0.322, 0.169], [0.009, 0.335, 0.505], [0.020, 0.320, 0.837], [0.034, 0.046, 0.340], [0.512, 0.822, 0.844], [0.531, 0.483, 0.343], [0.533, 0.532, 0.010], [0.542, 0.802, 0.507], [0.572, 0.518, 0.675], [0.573, 0.832, 0.169], [0.223, 0.040, 0.895], [0.224, 0.288, 0.398], [0.725, 0.772, 0.951], [0.738, 0.549, 0.452], [0.742, 0.775, 0.616], [0.746, 0.561, 0.785], [0.749, 0.569, 0.114], [0.808, 0.055, 0.110], [0.811, 0.289, 0.614], [0.814, 0.281, 0.277], [0.254, 0.308, 0.062], [0.260, 0.045, 0.555], [0.275, 0.801, 0.065], [0.277, 0.537, 0.906], [0.278, 0.285, 0.725], [0.284, 0.788, 0.732], [0.292, 0.799, 0.396], [0.298, 0.061, 0.223], [0.298, 0.541, 0.574], [0.310, 0.567, 0.228], [0.772, 0.273, 0.949], [0.774, 0.066, 0.780], [0.775, 0.054, 0.449], [0.788, 0.797, 0.289]]}